Record 1
A plane-wave DFT calculation with PBE with a Hubbard U was carried out for crystalline BaCrSi4O10 at its relaxed geometry.

The structure belongs to space group P4/ncc (No. 130, origin choice 2); the cell edges are 7.641, 7.641 and 16.432 Å and the angles 90.00°, 90.00° and 90.00°. Symmetry generates all atoms from Ba at (0.250, 0.750, 0.000), Cr at (0.250, 0.250, 0.094), Si at (0.017, 0.068, 0.345), O at (0.004, 0.220, 0.862), O at (0.021, 0.114, 0.091) and O at (0.029, 0.529, 0.250).

The calculation puts the total magnetic moment at 4.0 μB/f.u. The calculation puts the uncorrected energy at -7.786 eV/atom. The volume is 959 Å³ per cell.

***

Record 2
A plane-wave DFT calculation with PBE with a Hubbard U was carried out for crystalline BaSmCrSnO6 at its relaxed geometry.

The structure belongs to space group F-43m (No. 216); the cell edges are 8.086, 8.086 and 8.086 Å and the angles 90.00°, 90.00° and 90.00°. Symmetry generates all atoms from Ba at (0.000, 0.000, 0.000), Sm at (0.000, 0.000, 0.500), Cr at (0.250, 0.250, 0.750), Sn at (0.250, 0.250, 0.250) and O at (0.003, 0.250, 0.750).

The calculation puts the total magnetic moment at 3.0 μB/f.u. The calculation puts the uncorrected energy at -7.075 eV/atom. The volume is 529 Å³ per cell.

***

Record 3
A plane-wave DFT calculation with PBE with a Hubbard U was carried out for crystalline Ba2CrSnO6 at its relaxed geometry.

The structure belongs to space group Fm-3m (No. 225); the cell edges are 8.200, 8.200 and 8.200 Å and the angles 90.00°, 90.00° and 90.00°. Symmetry generates all atoms from Ba at (0.250, 0.250, 0.250), Cr at (0.000, 0.000, 0.000), Sn at (0.000, 0.000, 0.500) and O at (0.000, 0.000, 0.245).

The calculation puts the total magnetic moment at 2.0 μB/f.u. The calculation puts the uncorrected energy at -6.610 eV/atom. The volume is 551 Å³ per cell.

***

Record 4
A plane-wave DFT calculation with PBE with a Hubbard U was carried out for crystalline BaSrCrSnO6 at its relaxed geometry.

The structure belongs to space group F-43m (No. 216); the cell edges are 8.109, 8.109 and 8.109 Å and the angles 90.00°, 90.00° and 90.00°. Symmetry generates all atoms from Ba at (0.000, 0.000, 0.000), Sr at (0.000, 0.000, 0.500), Cr at (0.250, 0.250, 0.750), Sn at (0.250, 0.250, 0.250) and O at (0.006, 0.250, 0.750).

The calculation puts the total magnetic moment at 2.0 μB/f.u. The calculation puts the uncorrected energy at -6.602 eV/atom. The volume is 533 Å³ per cell.

***

no.,calculated formation energy (meV per atom)
1,-3169
2,-2688
3,-2503
4,-2518